No. 1
# GGA+U MoSCl7O, relaxed
# - Volume: 27.9 Å³ per atom
# - DFT formation energy: -60.1 kJ/mol of atoms
# - Crystal system: monoclinic
# - Density: 2.33 g cm⁻³
# - Final energy: -3.521 eV per atom
data_MoSCl7O
_chemical_formula_sum 'Mo4 S4 Cl28 O4'
_cell_length_a 10.028
_cell_length_b 9.553
_cell_length_c 12.847
_cell_angle_alpha 90.00
_cell_angle_beta 114.86
_cell_angle_gamma 90.00
_space_group_name_H-M_alt 'P 1'
_space_group_IT_number 1
_space_group_name_Hall 'P 1'
loop_
_atom_site_label
_atom_site_type_symbol
_atom_site_fract_x
_atom_site_fract_y
_atom_site_fract_z
Mo1 Mo 0.156 0.161 0.002
Mo2 Mo 0.156 0.339 0.502
Mo3 Mo 0.844 0.661 0.498
Mo4 Mo 0.844 0.839 0.998
S1 S 0.282 0.738 0.987
S2 S 0.282 0.762 0.487
S3 S 0.718 0.238 0.513
S4 S 0.718 0.262 0.013
Cl1 Cl 0.033 0.545 0.386
Cl2 Cl 0.033 0.955 0.886
Cl3 Cl 0.064 0.708 0.100
Cl4 Cl 0.064 0.792 0.600
Cl5 Cl 0.180 0.581 0.878
Cl6 Cl 0.180 0.919 0.378
Cl7 Cl 0.219 0.179 0.653
Cl8 Cl 0.219 0.321 0.153
Cl9 Cl 0.333 0.000 0.137
Cl10 Cl 0.333 0.500 0.637
Cl11 Cl 0.395 0.672 0.406
Cl12 Cl 0.395 0.828 0.906
Cl13 Cl 0.445 0.637 0.117
Cl14 Cl 0.445 0.863 0.617
Cl15 Cl 0.555 0.137 0.383
Cl16 Cl 0.555 0.363 0.883
Cl17 Cl 0.605 0.172 0.094
Cl18 Cl 0.605 0.328 0.594
Cl19 Cl 0.667 0.000 0.863
Cl20 Cl 0.667 0.500 0.363
Cl21 Cl 0.781 0.679 0.847
Cl22 Cl 0.781 0.821 0.347
Cl23 Cl 0.820 0.081 0.622
Cl24 Cl 0.820 0.419 0.122
Cl25 Cl 0.936 0.208 0.400
Cl26 Cl 0.936 0.292 0.900
Cl27 Cl 0.967 0.045 0.114
Cl28 Cl 0.967 0.455 0.614
O1 O 0.256 0.215 0.930
O2 O 0.256 0.285 0.430
O3 O 0.744 0.715 0.570
O4 O 0.744 0.785 0.070

***

No. 2
# GGA+U Sr2AlCu2MoO7, relaxed
# - Volume: 13.5 Å³ per atom
# - DFT formation energy: -207.3 kJ/mol of atoms
# - Crystal system: monoclinic
# - Density: 5.07 g cm⁻³
# - Final energy: -6.209 eV per atom
data_Sr2AlCu2MoO7
_chemical_formula_sum 'Sr4 Al2 Cu4 Mo2 O14'
_cell_length_a 12.475
_cell_length_b 12.475
_cell_length_c 5.436
_cell_angle_alpha 102.32
_cell_angle_beta 102.32
_cell_angle_gamma 144.45
_space_group_name_H-M_alt 'P 1'
_space_group_IT_number 1
_space_group_name_Hall 'P 1'
loop_
_atom_site_label
_atom_site_type_symbol
_atom_site_fract_x
_atom_site_fract_y
_atom_site_fract_z
Sr1 Sr 0.109 0.891 0.000
Sr2 Sr 0.349 0.570 0.962
Sr3 Sr 0.570 0.349 0.962
Sr4 Sr 0.891 0.109 0.000
Al1 Al 0.233 0.733 0.977
Al2 Al 0.733 0.233 0.977
Cu1 Cu 0.175 0.785 0.482
Cu2 Cu 0.286 0.677 0.484
Cu3 Cu 0.677 0.286 0.484
Cu4 Cu 0.785 0.175 0.482
Mo1 Mo 0.561 0.561 0.543
Mo2 Mo 0.891 0.891 0.386
O1 O 0.007 0.616 0.641
O2 O 0.084 0.927 0.536
O3 O 0.098 0.497 0.978
O4 O 0.357 0.963 0.338
O5 O 0.382 0.542 0.447
O6 O 0.456 0.849 0.981
O7 O 0.497 0.098 0.978
O8 O 0.537 0.537 0.062
O9 O 0.542 0.382 0.447
O10 O 0.616 0.007 0.641
O11 O 0.849 0.456 0.981
O12 O 0.906 0.906 0.022
O13 O 0.927 0.084 0.536
O14 O 0.963 0.357 0.338

***

No. 3
# GGA+U ZnCrNiP2O9, relaxed
# - Volume: 11.7 Å³ per atom
# - DFT formation energy: -212.2 kJ/mol of atoms
# - Crystal system: orthorhombic
# - Density: 3.88 g cm⁻³
# - Final energy: -6.580 eV per atom
data_ZnCrNiP2O9
_chemical_formula_sum 'Zn4 Cr4 Ni4 P8 O36'
_cell_length_a 14.111
_cell_length_b 6.252
_cell_length_c 7.419
_cell_angle_alpha 90.00
_cell_angle_beta 90.00
_cell_angle_gamma 90.00
_space_group_name_H-M_alt 'P 1'
_space_group_IT_number 1
_space_group_name_Hall 'P 1'
loop_
_atom_site_label
_atom_site_type_symbol
_atom_site_fract_x
_atom_site_fract_y
_atom_site_fract_z
Zn1 Zn 0.223 0.250 0.112
Zn2 Zn 0.277 0.750 0.612
Zn3 Zn 0.723 0.250 0.388
Zn4 Zn 0.777 0.750 0.888
Cr1 Cr 0.116 0.250 0.645
Cr2 Cr 0.384 0.750 0.145
Cr3 Cr 0.616 0.250 0.855
Cr4 Cr 0.884 0.750 0.355
Ni1 Ni 0.000 0.000 0.000
Ni2 Ni 0.000 0.500 0.000
Ni3 Ni 0.500 0.000 0.500
Ni4 Ni 0.500 0.500 0.500
P1 P 0.067 0.750 0.644
P2 P 0.199 0.750 0.109
P3 P 0.301 0.250 0.609
P4 P 0.433 0.250 0.144
P5 P 0.567 0.750 0.856
P6 P 0.699 0.750 0.391
P7 P 0.801 0.250 0.891
P8 P 0.933 0.250 0.356
O1 O 0.010 0.250 0.499
O2 O 0.020 0.750 0.838
O3 O 0.051 0.250 0.847
O4 O 0.137 0.562 0.631
O5 O 0.137 0.938 0.631
O6 O 0.141 0.538 0.113
O7 O 0.141 0.962 0.113
O8 O 0.225 0.250 0.466
O9 O 0.238 0.250 0.783
O10 O 0.262 0.750 0.283
O11 O 0.275 0.750 0.966
O12 O 0.359 0.038 0.613
O13 O 0.359 0.462 0.613
O14 O 0.363 0.062 0.131
O15 O 0.363 0.438 0.131
O16 O 0.449 0.750 0.347
O17 O 0.480 0.250 0.338
O18 O 0.490 0.750 0.999
O19 O 0.510 0.250 0.001
O20 O 0.520 0.750 0.662
O21 O 0.551 0.250 0.653
O22 O 0.637 0.562 0.869
O23 O 0.637 0.938 0.869
O24 O 0.641 0.538 0.387
O25 O 0.641 0.962 0.387
O26 O 0.725 0.250 0.034
O27 O 0.738 0.250 0.717
O28 O 0.762 0.750 0.217
O29 O 0.775 0.750 0.534
O30 O 0.859 0.038 0.887
O31 O 0.859 0.462 0.887
O32 O 0.863 0.062 0.369
O33 O 0.863 0.438 0.369
O34 O 0.949 0.750 0.153
O35 O 0.980 0.250 0.162
O36 O 0.990 0.750 0.501

***

No. 4
# GGA+U MnSe3O8, relaxed
# - Volume: 14.8 Å³ per atom
# - DFT formation energy: -127.1 kJ/mol of atoms
# - Crystal system: monoclinic
# - Density: 3.91 g cm⁻³
# - Final energy: -5.657 eV per atom
data_MnSe3O8
_chemical_formula_sum 'Mn4 Se12 O32'
_cell_length_a 7.204
_cell_length_b 13.018
_cell_length_c 10.251
_cell_angle_alpha 90.00
_cell_angle_beta 132.18
_cell_angle_gamma 90.00
_space_group_name_H-M_alt 'P 1'
_space_group_IT_number 1
_space_group_name_Hall 'P 1'
loop_
_atom_site_label
_atom_site_type_symbol
_atom_site_fract_x
_atom_site_fract_y
_atom_site_fract_z
Mn1 Mn 0.126 0.172 0.439
Mn2 Mn 0.126 0.328 0.939
Mn3 Mn 0.874 0.672 0.061
Mn4 Mn 0.874 0.828 0.561
Se1 Se 0.004 0.137 0.066
Se2 Se 0.004 0.363 0.566
Se3 Se 0.317 0.008 0.745
Se4 Se 0.317 0.492 0.245
Se5 Se 0.332 0.695 0.945
Se6 Se 0.332 0.805 0.445
Se7 Se 0.668 0.195 0.555
Se8 Se 0.668 0.305 0.055
Se9 Se 0.683 0.508 0.755
Se10 Se 0.683 0.992 0.255
Se11 Se 0.996 0.637 0.434
Se12 Se 0.996 0.863 0.934
O1 O 0.077 0.710 0.724
O2 O 0.077 0.790 0.224
O3 O 0.110 0.097 0.266
O4 O 0.110 0.403 0.766
O5 O 0.155 0.606 0.115
O6 O 0.155 0.894 0.615
O7 O 0.170 0.249 0.123
O8 O 0.170 0.251 0.623
O9 O 0.300 0.692 0.535
O10 O 0.300 0.808 0.035
O11 O 0.347 0.068 0.602
O12 O 0.347 0.432 0.102
O13 O 0.390 0.033 0.105
O14 O 0.390 0.467 0.605
O15 O 0.421 0.250 0.018
O16 O 0.421 0.250 0.518
O17 O 0.579 0.750 0.482
O18 O 0.579 0.750 0.982
O19 O 0.610 0.533 0.395
O20 O 0.610 0.967 0.895
O21 O 0.653 0.568 0.898
O22 O 0.653 0.932 0.398
O23 O 0.700 0.192 0.965
O24 O 0.700 0.308 0.465
O25 O 0.830 0.749 0.377
O26 O 0.830 0.751 0.877
O27 O 0.845 0.106 0.385
O28 O 0.845 0.394 0.885
O29 O 0.890 0.597 0.234
O30 O 0.890 0.903 0.734
O31 O 0.923 0.210 0.776
O32 O 0.923 0.290 0.276

***

No. 5
# GGA+U Li2Ni3WO8, relaxed
# - Volume: 10.3 Å³ per atom
# - ΔE to the lowest computed polymorph: 0 meV per atom
# - DFT formation energy: -160.8 kJ/mol of atoms
# - Crystal system: hexagonal
# - Density: 5.81 g cm⁻³
# - Final energy: -5.677 eV per atom
data_Li2Ni3WO8
_chemical_formula_sum 'Li4 Ni6 W2 O16'
_cell_length_a 5.877
_cell_length_b 5.877
_cell_length_c 9.597
_cell_angle_alpha 90.00
_cell_angle_beta 90.00
_cell_angle_gamma 120.00
_space_group_name_H-M_alt 'P 1'
_space_group_IT_number 1
_space_group_name_Hall 'P 1'
loop_
_atom_site_label
_atom_site_type_symbol
_atom_site_fract_x
_atom_site_fract_y
_atom_site_fract_z
Li1 Li 0.000 0.000 0.000
Li2 Li 0.000 0.000 0.500
Li3 Li 0.333 0.667 0.413
Li4 Li 0.667 0.333 0.913
Ni1 Ni 0.170 0.340 0.725
Ni2 Ni 0.170 0.830 0.725
Ni3 Ni 0.340 0.170 0.225
Ni4 Ni 0.660 0.830 0.725
Ni5 Ni 0.830 0.170 0.225
Ni6 Ni 0.830 0.660 0.225
W1 W 0.333 0.667 0.997
W2 W 0.667 0.333 0.497
O1 O 0.000 0.000 0.309
O2 O 0.000 0.000 0.809
O3 O 0.035 0.517 0.860
O4 O 0.170 0.340 0.098
O5 O 0.170 0.830 0.098
O6 O 0.333 0.667 0.626
O7 O 0.340 0.170 0.598
O8 O 0.483 0.517 0.860
O9 O 0.483 0.965 0.860
O10 O 0.517 0.035 0.360
O11 O 0.517 0.483 0.360
O12 O 0.660 0.830 0.098
O13 O 0.667 0.333 0.126
O14 O 0.830 0.170 0.598
O15 O 0.830 0.660 0.598
O16 O 0.965 0.483 0.360

***

No. 6
# GGA+U FeSbP4O14, relaxed
# - Volume: 13.0 Å³ per atom
# - DFT formation energy: -232.0 kJ/mol of atoms
# - Crystal system: orthorhombic
# - Density: 3.35 g cm⁻³
# - Final energy: -6.987 eV per atom
data_FeSbP4O14
_chemical_formula_sum 'Fe4 Sb4 P16 O56'
_cell_length_a 8.029
_cell_length_b 16.156
_cell_length_c 8.039
_cell_angle_alpha 90.00
_cell_angle_beta 90.00
_cell_angle_gamma 90.00
_space_group_name_H-M_alt 'P 1'
_space_group_IT_number 1
_space_group_name_Hall 'P 1'
loop_
_atom_site_label
_atom_site_type_symbol
_atom_site_fract_x
_atom_site_fract_y
_atom_site_fract_z
Fe1 Fe 0.008 0.127 0.000
Fe2 Fe 0.492 0.627 0.500
Fe3 Fe 0.508 0.373 0.000
Fe4 Fe 0.992 0.873 0.500
Sb1 Sb 0.012 0.377 0.496
Sb2 Sb 0.488 0.877 0.996
Sb3 Sb 0.512 0.123 0.496
Sb4 Sb 0.988 0.623 0.996
P1 P 0.101 0.815 0.111
P2 P 0.102 0.568 0.378
P3 P 0.107 0.325 0.108
P4 P 0.114 0.073 0.397
P5 P 0.386 0.573 0.897
P6 P 0.393 0.825 0.608
P7 P 0.398 0.068 0.878
P8 P 0.399 0.315 0.611
P9 P 0.601 0.685 0.111
P10 P 0.602 0.932 0.378
P11 P 0.607 0.175 0.108
P12 P 0.614 0.427 0.397
P13 P 0.886 0.927 0.897
P14 P 0.893 0.675 0.608
P15 P 0.898 0.432 0.878
P16 P 0.899 0.185 0.611
O1 O 0.011 0.319 0.280
O2 O 0.012 0.428 0.722
O3 O 0.016 0.404 0.025
O4 O 0.024 0.997 0.454
O5 O 0.046 0.153 0.497
O6 O 0.068 0.248 0.011
O7 O 0.078 0.720 0.117
O8 O 0.101 0.853 0.281
O9 O 0.109 0.096 0.215
O10 O 0.135 0.475 0.413
O11 O 0.201 0.567 0.957
O12 O 0.212 0.850 0.623
O13 O 0.237 0.115 0.873
O14 O 0.237 0.330 0.516
O15 O 0.263 0.615 0.373
O16 O 0.263 0.830 0.016
O17 O 0.288 0.350 0.123
O18 O 0.299 0.067 0.457
O19 O 0.365 0.975 0.913
O20 O 0.391 0.596 0.715
O21 O 0.399 0.353 0.781
O22 O 0.422 0.220 0.617
O23 O 0.432 0.748 0.511
O24 O 0.454 0.653 0.997
O25 O 0.476 0.497 0.954
O26 O 0.484 0.904 0.525
O27 O 0.488 0.928 0.222
O28 O 0.489 0.819 0.780
O29 O 0.511 0.181 0.280
O30 O 0.512 0.072 0.722
O31 O 0.516 0.096 0.025
O32 O 0.524 0.503 0.454
O33 O 0.546 0.347 0.497
O34 O 0.568 0.252 0.011
O35 O 0.578 0.780 0.117
O36 O 0.601 0.647 0.281
O37 O 0.609 0.404 0.215
O38 O 0.635 0.025 0.413
O39 O 0.701 0.933 0.957
O40 O 0.712 0.650 0.623
O41 O 0.737 0.170 0.516
O42 O 0.737 0.385 0.873
O43 O 0.763 0.670 0.016
O44 O 0.763 0.885 0.373
O45 O 0.788 0.150 0.123
O46 O 0.799 0.433 0.457
O47 O 0.865 0.525 0.913
O48 O 0.891 0.904 0.715
O49 O 0.899 0.147 0.781
O50 O 0.922 0.280 0.617
O51 O 0.932 0.752 0.511
O52 O 0.954 0.847 0.997
O53 O 0.976 0.003 0.954
O54 O 0.984 0.596 0.525
O55 O 0.988 0.572 0.222
O56 O 0.989 0.681 0.780

***

No. 7
# GGA+U Rb5NdHfMo6O24, relaxed
# - Volume: 19.0 Å³ per atom
# - DFT formation energy: -233.7 kJ/mol of atoms
# - Crystal system: trigonal
# - Density: 4.04 g cm⁻³
# - Final energy: -6.956 eV per atom
data_Rb5NdHfMo6O24
_chemical_formula_sum 'Rb10 Nd2 Hf2 Mo12 O48'
_cell_length_a 14.750
_cell_length_b 14.750
_cell_length_c 14.750
_cell_angle_alpha 43.98
_cell_angle_beta 43.98
_cell_angle_gamma 43.98
_space_group_name_H-M_alt 'P 1'
_space_group_IT_number 1
_space_group_name_Hall 'P 1'
loop_
_atom_site_label
_atom_site_type_symbol
_atom_site_fract_x
_atom_site_fract_y
_atom_site_fract_z
Rb1 Rb 0.139 0.750 0.361
Rb2 Rb 0.147 0.147 0.147
Rb3 Rb 0.250 0.639 0.861
Rb4 Rb 0.353 0.353 0.353
Rb5 Rb 0.361 0.139 0.750
Rb6 Rb 0.639 0.861 0.250
Rb7 Rb 0.647 0.647 0.647
Rb8 Rb 0.750 0.361 0.139
Rb9 Rb 0.853 0.853 0.853
Rb10 Rb 0.861 0.250 0.639
Nd1 Nd 0.000 0.000 0.000
Nd2 Nd 0.500 0.500 0.500
Hf1 Hf 0.250 0.250 0.250
Hf2 Hf 0.750 0.750 0.750
Mo1 Mo 0.028 0.609 0.260
Mo2 Mo 0.109 0.528 0.760
Mo3 Mo 0.240 0.891 0.472
Mo4 Mo 0.260 0.028 0.609
Mo5 Mo 0.391 0.740 0.972
Mo6 Mo 0.472 0.240 0.891
Mo7 Mo 0.528 0.760 0.109
Mo8 Mo 0.609 0.260 0.028
Mo9 Mo 0.740 0.972 0.391
Mo10 Mo 0.760 0.109 0.528
Mo11 Mo 0.891 0.472 0.240
Mo12 Mo 0.972 0.391 0.740
O1 O 0.001 0.781 0.107
O2 O 0.043 0.320 0.296
O3 O 0.072 0.616 0.339
O4 O 0.088 0.366 0.885
O5 O 0.107 0.001 0.781
O6 O 0.115 0.912 0.634
O7 O 0.116 0.572 0.839
O8 O 0.134 0.412 0.615
O9 O 0.161 0.884 0.428
O10 O 0.180 0.457 0.204
O11 O 0.204 0.180 0.457
O12 O 0.219 0.893 0.999
O13 O 0.281 0.501 0.607
O14 O 0.296 0.043 0.320
O15 O 0.320 0.296 0.043
O16 O 0.339 0.072 0.616
O17 O 0.366 0.885 0.088
O18 O 0.384 0.661 0.928
O19 O 0.385 0.866 0.588
O20 O 0.393 0.719 0.499
O21 O 0.412 0.615 0.134
O22 O 0.428 0.161 0.884
O23 O 0.457 0.204 0.180
O24 O 0.499 0.393 0.719
O25 O 0.501 0.607 0.281
O26 O 0.543 0.796 0.820
O27 O 0.572 0.839 0.116
O28 O 0.588 0.385 0.866
O29 O 0.607 0.281 0.501
O30 O 0.615 0.134 0.412
O31 O 0.616 0.339 0.072
O32 O 0.634 0.115 0.912
O33 O 0.661 0.928 0.384
O34 O 0.680 0.704 0.957
O35 O 0.704 0.957 0.680
O36 O 0.719 0.499 0.393
O37 O 0.781 0.107 0.001
O38 O 0.796 0.820 0.543
O39 O 0.820 0.543 0.796
O40 O 0.839 0.116 0.572
O41 O 0.866 0.588 0.385
O42 O 0.884 0.428 0.161
O43 O 0.885 0.088 0.366
O44 O 0.893 0.999 0.219
O45 O 0.912 0.634 0.115
O46 O 0.928 0.384 0.661
O47 O 0.957 0.680 0.704
O48 O 0.999 0.219 0.893

***

No. 8
# GGA+U Li2TiMn2O5, relaxed
# - Volume: 10.1 Å³ per atom
# - ΔE to the lowest computed polymorph: 12 meV per atom
# - DFT formation energy: -242.5 kJ/mol of atoms
# - Crystal system: monoclinic
# - Density: 4.14 g cm⁻³
# - Final energy: -7.314 eV per atom
data_Li2TiMn2O5
_chemical_formula_sum 'Li4 Ti2 Mn4 O10'
_cell_length_a 8.053
_cell_length_b 8.053
_cell_length_c 5.330
_cell_angle_alpha 96.60
_cell_angle_beta 96.60
_cell_angle_gamma 141.50
_space_group_name_H-M_alt 'P 1'
_space_group_IT_number 1
_space_group_name_Hall 'P 1'
loop_
_atom_site_label
_atom_site_type_symbol
_atom_site_fract_x
_atom_site_fract_y
_atom_site_fract_z
Li1 Li 0.000 0.000 0.000
Li2 Li 0.404 0.596 0.000
Li3 Li 0.710 0.290 0.500
Li4 Li 0.902 0.098 0.500
Ti1 Ti 0.507 0.493 0.500
Ti2 Ti 0.816 0.184 0.000
Mn1 Mn 0.101 0.899 0.500
Mn2 Mn 0.205 0.795 0.000
Mn3 Mn 0.306 0.694 0.500
Mn4 Mn 0.601 0.399 0.000
O1 O 0.027 0.420 0.777
O2 O 0.143 0.338 0.242
O3 O 0.280 0.279 0.722
O4 O 0.351 0.167 0.263
O5 O 0.469 0.049 0.761
O6 O 0.580 0.973 0.223
O7 O 0.662 0.857 0.758
O8 O 0.721 0.720 0.278
O9 O 0.833 0.649 0.737
O10 O 0.951 0.531 0.239

***

Total magnetization in μB/f.u., matching the order above: 1.00; 2.81; 4.00; 3.00; 4.00; 5.00; 0.00; 10.00